Entry 1:
## Li3SbP2O8 (PBE)

Data for a geometry-optimized Li3SbP2O8 structure.

Computed properties:
Symmetry ... P2_1/c, No. 14
E_form ... -2509 meV per atom
Final energy ... -89.90 eV per formula unit
Distance to the lowest polymorph of the same formula ... 13.0 meV per atom
Density ... 3.50 g cm⁻³

```
112
Lattice="5.249 0.000 0.000 0.000 12.947 0.000 0.000 6.329 18.546" Properties=species:S:1:pos:R:3 pbc="T T T"
Li 4.186 10.845 14.960
Li 1.080 6.613 6.911
Li 1.391 11.732 10.038
Li 1.109 14.112 12.827
Li 1.239 4.375 0.705
Li 4.140 5.164 5.719
Li 1.063 8.431 3.586
Li 1.078 9.323 16.175
Li 3.703 3.480 2.370
Li 3.688 17.319 14.960
Li 1.385 10.848 0.705
Li 4.169 12.664 11.635
Li 3.734 11.638 5.719
Li 1.545 13.086 6.911
Li 4.010 14.902 17.840
Li 1.234 5.259 10.038
Li 4.171 9.954 2.370
Li 1.546 15.796 16.175
Li 3.704 6.190 11.635
Li 1.561 1.957 3.586
Li 3.864 8.428 17.840
Li 3.858 7.544 8.508
Li 1.516 7.639 12.827
Li 4.015 14.018 8.508
O 3.573 12.827 15.066
O 1.723 16.068 12.773
O 0.902 9.594 12.773
O 1.420 4.956 5.454
O 1.205 11.429 5.454
O 5.184 14.375 10.863
O 1.495 7.456 8.694
O 3.526 3.209 5.773
O 2.375 8.354 1.695
O 1.676 6.449 3.480
O 1.347 6.322 0.581
O 1.301 9.799 9.823
O 3.949 9.477 8.723
O 3.399 15.324 15.456
O 0.408 14.295 14.820
O 3.050 10.905 13.105
O 3.033 11.455 3.725
O 1.850 3.952 3.089
O 3.925 3.004 8.723
O 1.394 8.541 18.021
O 2.559 11.374 7.683
O 1.230 15.015 18.021
O 2.216 7.822 14.820
O 1.129 13.929 8.694
O 1.060 11.215 14.663
O 0.774 10.425 3.089
O 0.898 12.083 12.262
O 2.875 10.922 16.850
O 4.475 8.851 15.456
O 2.758 1.728 1.512
O 3.855 10.735 0.525
O 4.189 8.061 3.883
O 3.902 12.954 17.964
O 0.425 1.898 5.441
O 2.826 5.050 7.719
O 1.324 16.273 9.823
O 4.019 4.261 0.525
O 4.841 4.981 3.725
O 4.120 5.347 9.852
O 0.201 7.753 10.827
O 0.250 1.881 1.695
O 3.972 6.480 17.964
O 3.754 11.821 9.852
O 4.999 17.395 16.850
O 5.048 11.523 7.719
O 3.830 14.320 13.092
O 2.491 17.548 17.033
O 1.277 12.796 0.581
O 0.949 12.923 3.480
O 5.116 8.202 1.512
O 0.065 4.901 7.683
O 0.133 11.075 17.033
O 3.522 13.667 6.283
O 4.044 7.847 13.092
O 4.348 9.682 5.773
O 2.199 8.371 5.441
O 4.824 17.379 13.105
O 1.565 17.689 14.663
O 2.690 7.902 10.863
O 3.684 1.588 3.883
O 4.300 6.354 15.066
O 2.423 14.227 10.827
O 4.352 7.194 6.283
O 1.727 5.609 12.262
P 1.185 7.834 0.749
P 4.133 14.769 5.395
P 1.133 5.044 3.888
P 3.805 10.991 8.564
P 3.757 7.759 14.658
P 1.181 14.759 9.982
P 1.508 10.980 13.151
P 1.440 1.361 0.749
P 4.116 14.232 14.658
P 4.068 4.517 8.564
P 3.809 17.915 17.796
P 1.492 11.517 3.888
P 4.064 11.442 17.796
P 3.741 8.296 5.395
P 1.116 4.507 13.151
P 1.444 8.285 9.982
Sb 0.971 6.041 16.225
Sb 1.653 12.515 16.225
Sb 3.596 6.762 2.321
Sb 4.278 13.235 2.321
Sb 4.271 9.315 11.581
Sb 0.978 9.961 6.965
Sb 1.647 3.488 6.965
Sb 3.603 15.788 11.581
```


Entry 2:
## BaZnSi (PBE)

Data for a geometry-optimized BaZnSi structure.

Computed properties:
Symmetry ... P6_3/mmc, No. 194
E_form ... -352 meV per atom
Final energy ... -9.73 eV per formula unit
Density ... 4.66 g cm⁻³

```
6
Lattice="2.199 -3.808 0.000 2.199 3.808 0.000 0.000 0.000 9.817" Properties=species:S:1:pos:R:3 pbc="T T T"
Ba 0.000 0.000 4.908
Ba 0.000 0.000 0.000
Si 2.199 1.269 2.454
Si 2.199 -1.269 7.363
Zn 2.199 1.269 7.363
Zn 2.199 -1.269 2.454
```


Entry 3:
## Na3YTiSiP2O12 (PBE)

Data for a geometry-optimized Na3YTiSiP2O12 structure.

Computed properties:
Symmetry ... Cc, No. 9
E_form ... -3002 meV per atom
Final energy ... -145.75 eV per formula unit
Distance to the lowest polymorph of the same formula ... 0.0 meV per atom
Density ... 2.97 g cm⁻³

```
120
Lattice="-5.545 -3.702 -6.289 8.559 2.336 -2.299 7.013 -20.497 5.721" Properties=species:S:1:pos:R:3 pbc="T T T"
O 13.866 -17.085 1.845
O 12.506 -19.238 1.578
O 0.077 -15.198 -2.976
O 6.057 -16.820 2.719
O 9.607 -20.252 0.515
O 6.940 -18.385 -3.455
O 11.364 -17.017 0.636
O 8.587 -17.972 0.187
O 4.962 -1.490 -4.923
O 4.382 -12.239 -2.493
O 0.076 -2.383 -6.293
O 3.225 -9.640 -1.672
O 7.169 -6.456 -0.262
O 7.264 -11.193 1.367
O -0.028 -7.492 -4.797
O 2.503 -12.142 -0.356
O 2.863 -3.640 0.510
O 2.322 -3.515 -7.494
O -3.728 -4.814 -4.986
O 9.365 -15.478 -0.731
O 5.400 -9.686 -0.350
O 9.517 -11.111 -0.743
O -2.351 -2.728 -4.643
O 8.706 -2.370 -2.129
O 2.592 -15.455 -2.727
O 6.845 -12.283 -1.618
O 8.426 -8.730 0.352
O 7.720 -15.371 1.378
O -1.473 -11.387 -2.707
O 3.423 -12.673 2.220
O 6.258 -13.227 -3.875
O 4.945 -21.083 -1.062
O 5.109 -17.156 -2.390
O 9.567 -17.134 2.881
O 4.920 -5.442 -3.495
O -1.511 -9.644 -4.975
O 2.838 -17.451 -0.113
O 8.727 -14.957 -3.349
O 1.571 -13.165 -2.966
O 0.236 -1.701 -3.533
O 7.846 -9.794 -2.782
O 4.293 -7.361 -5.105
O 5.605 -14.388 2.416
O 10.031 -19.444 3.842
O 0.647 -4.977 -5.944
O 10.331 -14.458 1.545
O 0.770 -2.080 -1.088
O -1.625 -4.885 -3.563
O 8.748 -19.736 -1.719
O 2.341 -10.691 -3.981
O 4.620 -7.515 -1.362
O 2.701 -1.745 -2.664
O 1.061 -7.062 0.446
O 9.866 -6.613 0.389
O 5.449 -0.608 -2.004
O 4.913 -4.801 -0.896
O 2.913 -14.663 0.453
O 7.095 -20.054 0.153
O 0.694 -10.497 -1.801
O 7.162 -4.362 -2.277
O 2.548 -6.115 -3.979
O 3.410 -8.657 0.638
O 2.603 -21.894 -1.468
O 5.517 -14.385 -1.755
O 3.989 -4.995 -5.830
O 7.117 -7.365 -2.992
O 11.828 -12.444 1.828
O 0.393 -6.359 -1.803
O 5.495 -16.110 0.473
O 1.370 -3.846 -2.792
O 1.356 -19.603 -0.292
O 4.887 -20.504 1.616
Na 7.157 -16.234 -1.196
Na 0.109 -11.364 -4.432
Na 6.467 -11.670 -5.674
Na 6.812 -20.844 -2.479
Na 9.842 -10.408 1.458
Na 8.437 -13.371 0.392
Na -0.014 -0.073 -0.058
Na 1.422 -8.629 -3.095
Na 5.075 -3.188 -2.880
Na 2.793 -21.240 0.772
Na 8.767 -12.144 -3.005
Na 1.663 -7.195 -6.331
Na 7.118 -0.514 -3.632
Na 2.821 -5.610 -1.692
Na 1.317 -9.695 0.325
Na 4.908 -18.868 -0.175
Na 3.377 -1.042 -0.500
Na 3.258 -16.577 1.976
Y 5.477 -8.523 -6.453
Y 3.894 -15.768 -1.071
Y 7.433 -10.302 -0.684
Y 0.379 -5.516 -3.908
Y 3.927 -0.053 -3.546
Y 6.051 -17.442 4.764
P 8.608 -3.879 -2.621
P 5.768 -13.031 -2.411
P 1.299 -2.346 -2.527
P 7.794 -8.584 -3.720
P 4.168 -8.874 -0.690
P 6.259 -15.677 1.737
P -2.849 -4.051 -3.937
P 9.535 -18.032 4.171
P 3.962 -5.976 -4.570
P 8.510 -19.502 -0.211
P 1.484 -14.674 -3.428
P 11.303 -13.761 2.551
Ti 4.614 -13.323 3.628
Ti 9.641 -16.423 0.954
Ti 6.139 -21.799 0.665
Ti 6.067 -6.144 -1.715
Ti 2.617 -11.544 -2.153
Ti 4.055 -4.409 -7.630
Si 8.401 -7.177 0.751
Si 2.465 -13.214 0.972
Si 4.318 -4.508 0.669
Si 9.883 -15.689 -2.336
Si 12.881 -17.866 0.838
Si 0.754 -3.778 -7.004
```


Entry 4:
## Sc2V3Si3 (PBE)

Data for a geometry-optimized Sc2V3Si3 structure.

Computed properties:
Symmetry ... P6_3/mcm, No. 193
E_form ... -290 meV per atom
Final energy ... -58.73 eV per formula unit
Density ... 4.24 g cm⁻³

```
16
Lattice="5.119 -0.006 -1.663 1.734 4.868 5.320 2.164 -2.411 6.672" Properties=species:S:1:pos:R:3 pbc="T T T"
Si 2.091 -0.905 2.085
Si 6.926 3.356 8.244
Si 3.282 0.316 5.750
Si 4.528 0.631 9.582
Si 4.489 1.820 0.748
Si 5.734 2.135 4.580
V 3.119 3.075 5.237
V 5.146 3.666 2.765
V 5.897 -0.624 5.092
V 3.870 -1.215 7.565
V 2.911 -1.819 4.615
V 6.105 4.270 5.715
Sc 5.158 1.635 7.163
Sc 1.299 0.819 3.998
Sc 3.859 0.816 3.167
Sc 2.598 1.638 7.994
```


Entry 5:
## EuAl2Au2 (PBE)

Data for a geometry-optimized EuAl2Au2 structure.

Computed properties:
Symmetry ... P4/nmm, No. 129
E_form ... -684 meV per atom
Final energy ... -27.72 eV per formula unit
Density ... 9.44 g cm⁻³

```
10
Lattice="4.463 0.000 0.000 0.000 4.463 0.000 0.000 0.000 10.597" Properties=species:S:1:pos:R:3 pbc="T T T"
Al 0.000 0.000 5.298
Al 2.232 2.232 5.298
Al 2.232 0.000 9.239
Al 0.000 2.232 1.358
Eu 2.232 0.000 2.647
Eu 0.000 2.232 7.949
Au 2.232 0.000 6.686
Au 2.232 2.232 0.000
Au 0.000 0.000 0.000
Au 0.000 2.232 3.911
```


Entry 6:
## CaH6C6Br2O8 (PBE)

Data for a geometry-optimized CaH6C6Br2O8 structure.

Computed properties:
Symmetry ... C2/m, No. 12
E_form ... -971 meV per atom
Final energy ... -137.43 eV per formula unit
Density ... 2.20 g cm⁻³

```
46
Lattice="-7.683 -4.781 -4.703 -0.843 0.109 10.162 -4.647 4.775 0.568" Properties=species:S:1:pos:R:3 pbc="T T T"
Ca -5.684 3.160 1.576
Ca -7.489 -3.057 4.451
C -8.720 -4.178 1.588
C -4.919 -1.886 -1.539
C -9.573 1.927 7.059
C -1.307 -0.184 3.950
C -4.452 4.281 4.439
C -1.836 0.318 5.162
C -8.254 1.989 7.566
C -3.599 -1.823 -1.032
C -6.072 -2.285 7.344
C -11.337 -0.215 0.865
C -7.101 2.388 -1.317
C -11.866 0.288 2.077
O -9.134 -3.688 2.678
O -9.206 -1.822 -2.681
O -11.191 0.496 3.121
O -12.044 -0.670 5.762
O -3.966 1.925 8.708
O -7.225 -2.323 6.827
O -6.204 -1.293 3.280
O -6.969 1.396 2.747
O -9.891 1.425 5.947
O -5.948 2.427 -0.800
O -4.238 1.237 1.543
O -4.039 3.791 3.349
O -1.129 0.773 0.265
O -8.935 -1.134 4.484
O -1.982 -0.393 2.906
O -3.282 -1.322 0.080
Br -6.302 -1.243 -0.434
Br -3.693 0.622 5.237
Br -6.871 1.346 6.461
Br -9.480 -0.519 0.790
H -4.213 3.483 9.716
H -4.926 1.843 8.514
H -4.231 0.508 0.893
H -8.247 -1.739 -2.487
H -8.960 -3.380 -3.689
H -9.560 -0.847 3.790
H -10.434 -0.965 -3.805
H -2.739 1.068 9.832
H -9.704 -1.573 -1.871
H -3.613 0.950 2.237
H -3.469 1.676 7.898
H -8.941 -0.405 5.134
```


Q: Which value of final energy does entry 5 give?
A: -27.72 eV per formula unit


Q: Look up the E_form of the sixth one.
A: -971 meV per atom